Entry 1:
! Y2Zr2O7 | the Materials Project | PBE | optimized geometry; values from VASP
! ΔE_f: -3845 meV/atom
! E (MP2020): -427.8 eV per cell
! M_tot: 0.0000 μB per atom
! symmetry: P2_1 (4)
&SYSTEM
  ibrav = 0, nat = 44, ntyp = 3
/
ATOMIC_SPECIES
O 16.00 O.upf
Y 88.91 Y.upf
Zr 91.22 Zr.upf
CELL_PARAMETERS angstrom
5.546 0.000 0.000
0.000 7.893 0.000
0.000 2.035 13.710
ATOMIC_POSITIONS crystal
O 0.967 0.862 0.230
O 0.051 0.077 0.583
O 0.544 0.154 0.566
O 0.551 0.074 0.978
O 0.885 0.222 0.117
O 0.634 0.830 0.674
O 0.576 0.578 0.548
O 0.134 0.170 0.326
O 0.635 0.729 0.085
O 0.467 0.138 0.770
O 0.111 0.634 0.622
O 0.475 0.474 0.767
O 0.415 0.415 0.173
O 0.547 0.440 0.977
O 0.385 0.778 0.883
O 0.611 0.366 0.378
O 0.551 0.923 0.417
O 0.135 0.271 0.915
O 0.921 0.996 0.825
O 0.051 0.926 0.022
O 0.044 0.846 0.434
O 0.902 0.323 0.701
O 0.915 0.585 0.827
O 0.402 0.677 0.299
O 0.076 0.422 0.452
O 0.047 0.560 0.023
O 0.975 0.526 0.233
O 0.421 0.004 0.175
Y 0.243 0.713 0.134
Y 0.827 0.138 0.441
Y 0.779 0.763 0.928
Y 0.259 0.362 0.601
Y 0.327 0.862 0.559
Y 0.759 0.638 0.399
Y 0.279 0.237 0.072
Y 0.743 0.287 0.866
Zr 0.765 0.468 0.125
Zr 0.777 0.589 0.673
Zr 0.277 0.411 0.327
Zr 0.263 0.027 0.881
Zr 0.265 0.532 0.875
Zr 0.765 0.074 0.680
Zr 0.265 0.926 0.320
Zr 0.763 0.973 0.119

***

Entry 2:
! GdAu3C6N6O3 | the Materials Project | PBE | optimized geometry; values from VASP
! ΔE_f: 309 meV/atom
! E (MP2020): -276.5 eV per cell
! M_tot: 0.0677 μB per atom
! symmetry: P6_3/mcm (193)
&SYSTEM
  ibrav = 0, nat = 38, ntyp = 5
/
ATOMIC_SPECIES
N 14.01 N.upf
C 12.01 C.upf
Au 196.97 Au.upf
O 16.00 O.upf
Gd 157.25 Gd.upf
CELL_PARAMETERS angstrom
3.966 5.019 -2.650
-6.072 -1.536 -2.952
-8.035 11.827 10.373
ATOMIC_POSITIONS crystal
N 0.746 0.746 0.651
N 0.254 0.254 0.151
N 0.746 0.000 0.151
N 0.000 0.254 0.849
N 0.254 0.000 0.849
N 0.254 0.000 0.651
N 0.000 0.746 0.151
N 0.746 0.000 0.349
N 0.000 0.746 0.349
N 0.746 0.746 0.849
N 0.254 0.254 0.349
N 0.000 0.254 0.651
C 0.000 0.650 0.404
C 0.650 0.000 0.096
C 0.650 0.650 0.904
C 0.350 0.350 0.096
C 0.650 0.000 0.404
C 0.350 0.000 0.596
C 0.350 0.000 0.904
C 0.650 0.650 0.596
C 0.000 0.350 0.596
C 0.000 0.350 0.904
C 0.000 0.650 0.096
C 0.350 0.350 0.404
Au 0.500 0.500 0.000
Au 0.500 0.500 0.500
Au 0.500 0.000 0.500
Au 0.000 0.500 0.500
Au 0.500 0.000 0.000
Au 0.000 0.500 0.000
O 0.650 0.650 0.250
O 0.650 0.000 0.750
O 0.000 0.350 0.250
O 0.000 0.650 0.750
O 0.350 0.350 0.750
O 0.350 0.000 0.250
Gd 0.000 0.000 0.250
Gd 0.000 0.000 0.750

***

Entry 3:
! LiAsSe2 | the Materials Project | PBE | optimized geometry; values from VASP
! ΔE_f: -775 meV/atom
! E (MP2020): -33.3 eV per cell
! M_tot: 0.0000 μB per atom
! symmetry: P2_1/m (11)
&SYSTEM
  ibrav = 0, nat = 8, ntyp = 3
/
ATOMIC_SPECIES
Li 6.94 Li.upf
Se 78.96 Se.upf
As 74.92 As.upf
CELL_PARAMETERS angstrom
5.483 0.000 0.000
0.000 5.704 0.000
0.000 0.428 5.815
ATOMIC_POSITIONS crystal
Li 0.250 0.739 0.995
Li 0.750 0.261 0.005
Se 0.750 0.231 0.502
Se 0.750 0.751 0.992
Se 0.250 0.249 0.008
Se 0.250 0.769 0.498
As 0.250 0.197 0.413
As 0.750 0.803 0.587

***

Entry 4:
! InCl3 | the Materials Project | PBE | optimized geometry; values from VASP
! ΔE_f: -1442 meV/atom
! E (MP2020): -28.1 eV per cell
! symmetry: P6_3/mmc (194)
&SYSTEM
  ibrav = 0, nat = 8, ntyp = 2
/
ATOMIC_SPECIES
Cl 35.45 Cl.upf
In 114.82 In.upf
CELL_PARAMETERS angstrom
-5.396 7.698 2.157
2.372 -6.312 6.896
2.843 1.805 0.673
ATOMIC_POSITIONS crystal
Cl 0.218 0.782 0.250
Cl 0.436 0.218 0.750
Cl 0.564 0.782 0.250
Cl 0.782 0.218 0.750
Cl 0.218 0.436 0.250
Cl 0.782 0.564 0.750
In 0.333 0.667 0.750
In 0.667 0.333 0.250

***

Entry 5:
! BaSrNd4O8 | the Materials Project | PBE | optimized geometry; values from VASP
! ΔE_f: -3524 meV/atom
! E (MP2020): -223.2 eV per cell
! M_tot: 0.0003 μB per atom
! symmetry: Pmc2_1 (26)
&SYSTEM
  ibrav = 0, nat = 28, ntyp = 4
/
ATOMIC_SPECIES
Ba 137.33 Ba.upf
O 16.00 O.upf
Nd 144.24 Nd.upf
Sr 87.62 Sr.upf
CELL_PARAMETERS angstrom
0.000 -3.611 0.000
-10.526 0.000 0.000
0.000 0.000 -12.508
ATOMIC_POSITIONS crystal
Ba 0.750 0.252 0.353
Ba 0.750 0.752 0.147
O 0.750 0.368 0.979
O 0.750 0.988 0.283
O 0.750 0.285 0.683
O 0.250 0.511 0.782
O 0.750 0.074 0.918
O 0.750 0.868 0.521
O 0.250 0.934 0.074
O 0.750 0.574 0.582
O 0.250 0.715 0.326
O 0.250 0.215 0.174
O 0.750 0.785 0.817
O 0.250 0.434 0.426
O 0.750 0.488 0.217
O 0.250 0.125 0.487
O 0.250 0.011 0.718
O 0.250 0.625 0.013
Nd 0.750 0.072 0.617
Nd 0.750 0.086 0.107
Nd 0.250 0.917 0.886
Nd 0.750 0.572 0.883
Nd 0.250 0.926 0.389
Nd 0.750 0.586 0.393
Nd 0.250 0.417 0.614
Nd 0.250 0.426 0.111
Sr 0.250 0.748 0.647
Sr 0.250 0.248 0.853

***

Entry 6:
! MgZn2 | the Materials Project | PBE | optimized geometry; values from VASP
! ΔE_f: -5 meV/atom
! M_tot: 0.0000 μB per atom
! symmetry: Cmcm (63)
&SYSTEM
  ibrav = 0, nat = 6, ntyp = 2
/
ATOMIC_SPECIES
Zn 65.41 Zn.upf
Mg 24.30 Mg.upf
CELL_PARAMETERS angstrom
1.485 -7.396 0.000
1.485 7.396 0.000
0.000 0.000 4.734
ATOMIC_POSITIONS crystal
Zn 0.049 0.951 0.750
Zn 0.951 0.049 0.250
Zn 0.392 0.608 0.750
Zn 0.608 0.392 0.250
Mg 0.284 0.716 0.250
Mg 0.716 0.284 0.750

***

Entry 7:
! Ca2NbInO6 | the Materials Project | PBE | optimized geometry; values from VASP
! ΔE_f: -2811 meV/atom
! E (MP2020): -74.7 eV per cell
! M_tot: 0.0000 μB per atom
! symmetry: Fm-3m (225)
&SYSTEM
  ibrav = 0, nat = 10, ntyp = 4
/
ATOMIC_SPECIES
Ca 40.08 Ca.upf
In 114.82 In.upf
O 16.00 O.upf
Nb 92.91 Nb.upf
CELL_PARAMETERS angstrom
5.525 0.048 1.756
3.397 4.531 -1.241
1.671 3.611 4.217
ATOMIC_POSITIONS crystal
Ca 0.250 0.250 0.250
Ca 0.750 0.750 0.750
In 0.000 0.000 0.000
O 0.258 0.742 0.258
O 0.742 0.742 0.258
O 0.258 0.258 0.742
O 0.742 0.258 0.258
O 0.258 0.742 0.742
O 0.742 0.258 0.742
Nb 0.500 0.500 0.500

***

Entry 8:
! Li6PS5I | the Materials Project | PBE | optimized geometry; values from VASP
! energy relative to the lowest polymorph listed for this composition: 0.0000 eV per atom
! ΔE_f: -1291 meV/atom
! E (MP2020): -111.7 eV per cell
! M_tot: 0.0002 μB per atom
! symmetry: Cc (9)
&SYSTEM
  ibrav = 0, nat = 26, ntyp = 4
/
ATOMIC_SPECIES
Li 6.94 Li.upf
S 32.06 S.upf
P 30.97 P.upf
I 126.90 I.upf
CELL_PARAMETERS angstrom
3.646 6.313 0.000
-3.646 6.313 0.000
0.000 4.135 11.688
ATOMIC_POSITIONS crystal
Li 0.225 0.212 0.381
Li 0.293 0.724 0.389
Li 0.714 0.670 0.389
Li 0.053 0.978 0.634
Li 0.670 0.714 0.889
Li 0.029 0.549 0.059
Li 0.549 0.029 0.559
Li 0.724 0.293 0.889
Li 0.978 0.053 0.134
Li 0.581 0.448 0.153
Li 0.448 0.581 0.653
Li 0.212 0.225 0.881
S 0.822 0.338 0.679
S 0.338 0.822 0.179
S 0.826 0.794 0.682
S 0.563 0.052 0.945
S 0.330 0.292 0.175
S 0.377 0.876 0.499
S 0.794 0.826 0.182
S 0.052 0.563 0.445
S 0.876 0.377 0.999
S 0.292 0.330 0.675
P 0.507 0.998 0.121
P 0.998 0.507 0.621
I 0.742 0.268 0.367
I 0.268 0.742 0.867

***

The lowest ΔE_f belongs to which entry? Y2Zr2O7